(1)
## YEr (GGA-PBE)

Data for a relaxed structure of YEr.

Mass density   6.645 g/cm3
Formation enthalpy at 0 K   0.0109 eV/atom
Calculated volume   64 Å³ per cell
SG   P-6m2, No. 187
Uncorrected energy   -5.51 eV per atom

extended XYZ file:
```
2
Lattice="1.794 -3.107 0.000 1.794 3.107 0.000 0.000 0.000 5.743" Properties=species:S:1:pos:R:3 pbc="T T T"
Y 0.000 0.000 0.000
Er 1.794 1.036 2.872
```

***

(2)
## YErZn2 (GGA-PBE)

Data for a relaxed structure of YErZn2.

Mass density   7.093 g/cm3
Formation enthalpy at 0 K   -0.3594 eV/atom
Calculated volume   91 Å³ per cell
SG   Fm-3m, No. 225
Uncorrected energy   -3.75 eV per atom

extended XYZ file:
```
4
Lattice="0.000 3.565 3.565 3.565 0.000 3.565 3.565 3.565 0.000" Properties=species:S:1:pos:R:3 pbc="T T T"
Y 3.565 3.565 3.565
Er 0.000 0.000 0.000
Zn 5.347 5.347 5.347
Zn 1.782 1.782 1.782
```

***

(3)
## ErZn12 (GGA-PBE)

Data for a relaxed structure of ErZn12.

Mass density   7.714 g/cm3
Formation enthalpy at 0 K   -0.1726 eV/atom
Calculated volume   205 Å³ per cell
SG   I4/mmm, No. 139
Uncorrected energy   -1.69 eV per atom

extended XYZ file:
```
13
Lattice="-4.446 4.446 2.592 4.446 -4.446 2.592 4.446 4.446 -2.592" Properties=species:S:1:pos:R:3 pbc="T T T"
Er 0.000 0.000 0.000
Zn 0.000 1.916 2.592
Zn 2.223 -2.223 1.296
Zn 2.223 2.223 1.296
Zn 2.223 2.223 -1.296
Zn -2.223 2.223 1.296
Zn 0.000 3.147 0.000
Zn 5.745 0.000 0.000
Zn 3.147 0.000 0.000
Zn 0.000 5.745 0.000
Zn 4.446 2.530 0.000
Zn 1.916 0.000 2.592
Zn 2.530 4.446 0.000
```

***

(4)
## ErZn5 (GGA-PBE)

Data for a relaxed structure of ErZn5.

Mass density   8.043 g/cm3
Formation enthalpy at 0 K   -0.2707 eV/atom
Calculated volume   102 Å³ per cell
SG   P6/mmm, No. 191
Uncorrected energy   -2.08 eV per atom

extended XYZ file:
```
6
Lattice="2.638 -4.569 0.000 2.638 4.569 0.000 0.000 0.000 4.233" Properties=species:S:1:pos:R:3 pbc="T T T"
Er 0.000 0.000 0.000
Zn 1.319 -2.285 2.116
Zn 1.319 2.285 2.116
Zn 2.638 -1.523 0.000
Zn 2.638 0.000 2.116
Zn 2.638 1.523 0.000
```

***

(5)
## Er6Zn23 (GGA-PBE)

Data for a relaxed structure of Er6Zn23.

Mass density   8.240 g/cm3
Formation enthalpy at 0 K   -0.3084 eV/atom
Calculated volume   505 Å³ per cell
SG   Fm-3m, No. 225
Uncorrected energy   -2.25 eV per atom

extended XYZ file:
```
29
Lattice="0.000 6.322 6.322 6.322 0.000 6.322 6.322 6.322 0.000" Properties=species:S:1:pos:R:3 pbc="T T T"
Er 6.322 10.052 6.322
Er 6.322 6.322 2.593
Er 6.322 6.322 10.052
Er 2.593 6.322 6.322
Er 10.052 6.322 6.322
Er 6.322 2.593 6.322
Zn 10.489 10.489 10.489
Zn 2.156 4.167 4.167
Zn 4.167 4.167 2.156
Zn 4.167 2.156 4.167
Zn 8.478 8.478 10.489
Zn 8.478 10.489 8.478
Zn 6.322 6.322 6.322
Zn 3.161 0.000 3.161
Zn 0.000 3.161 3.161
Zn 6.322 3.161 3.161
Zn 3.161 6.322 3.161
Zn 3.161 3.161 0.000
Zn 3.161 3.161 6.322
Zn 4.772 4.772 4.772
Zn 7.873 4.772 4.772
Zn 4.772 7.873 4.772
Zn 4.772 4.772 7.873
Zn 7.873 4.772 7.873
Zn 7.873 7.873 4.772
Zn 4.772 7.873 7.873
Zn 7.873 7.873 7.873
Zn 2.156 2.156 2.156
Zn 10.489 8.478 8.478
```

***

(6)
## ErZn5 (GGA-PBE)

Data for a relaxed structure of ErZn5.

Mass density   7.990 g/cm3
Formation enthalpy at 0 K   -0.2671 eV/atom
Calculated volume   616 Å³ per cell
SG   P6_3/mmc, No. 194
Uncorrected energy   -2.08 eV per atom

extended XYZ file:
```
36
Lattice="3.197 3.762 -7.377 -7.252 -5.103 -0.405 -5.185 7.253 1.452" Properties=species:S:1:pos:R:3 pbc="T T T"
Er -3.438 0.593 -1.188
Er -2.671 7.522 -4.967
Er -4.051 5.899 -1.783
Er -5.188 0.014 -4.547
Er -6.568 -1.610 -1.363
Er -5.801 5.320 -5.142
Zn 0.000 0.000 0.000
Zn -2.592 3.627 0.726
Zn -3.869 -2.008 -2.701
Zn -2.978 4.574 -4.299
Zn -5.371 7.920 -3.629
Zn -6.261 1.339 -2.031
Zn 1.599 1.881 -3.688
Zn -4.620 2.956 -3.165
Zn -6.218 1.075 0.524
Zn -3.626 -2.551 -0.202
Zn -2.027 -0.670 -3.891
Zn -0.994 5.508 -2.962
Zn -0.463 3.258 -3.880
Zn -6.624 4.169 -2.330
Zn -7.573 3.053 -0.140
Zn -1.667 2.860 -6.190
Zn -2.616 1.743 -4.000
Zn -8.776 2.655 -2.450
Zn -2.722 0.366 -6.333
Zn -8.649 0.620 -0.663
Zn -6.991 2.571 -4.489
Zn -0.619 1.062 -2.297
Zn 1.039 3.013 -6.123
Zn -6.518 5.546 0.004
Zn -10.279 2.900 -0.206
Zn -4.888 3.266 -0.453
Zn -8.621 4.851 -4.032
Zn -2.249 3.342 -1.841
Zn -4.352 2.646 -5.877
Zn -0.591 5.293 -5.667
```

***

(7)
## ErZr (GGA-PBE)

Data for a relaxed structure of ErZr.

Mass density   8.037 g/cm3
Formation enthalpy at 0 K   0.0752 eV/atom
Calculated volume   53 Å³ per cell
SG   P-6m2, No. 187
Uncorrected energy   -6.48 eV per atom

extended XYZ file:
```
2
Lattice="-0.365 1.768 2.879 -1.918 0.744 -2.706 -3.696 -3.474 1.665" Properties=species:S:1:pos:R:3 pbc="T T T"
Er -2.731 -0.310 1.850
Zr -1.400 1.085 -0.844
```

***

(8)
## Eu (GGA-PBE)

Data for a relaxed structure of Eu.

Mass density   5.614 g/cm3
Energy relative to the lowest polymorph listed for this composition   88 meV per atom
Formation enthalpy at 0 K   0.0878 eV/atom
Calculated volume   270 Å³ per cell
SG   R-3c, No. 167
Uncorrected energy   -10.17 eV per atom

extended XYZ file:
```
6
Lattice="4.076 -5.920 0.000 4.076 5.920 0.000 -4.522 0.000 5.587" Properties=species:S:1:pos:R:3 pbc="T T T"
Eu 0.908 -2.212 1.397
Eu 2.514 1.106 0.353
Eu -0.699 1.106 2.441
Eu 1.117 -1.106 5.234
Eu 4.329 -1.106 3.147
Eu 2.723 2.212 4.191
```

***

(9)
## Eu (GGA-PBE)

Data for a relaxed structure of Eu.

Mass density   5.453 g/cm3
Energy relative to the lowest polymorph listed for this composition   11 meV per atom
Formation enthalpy at 0 K   0.0105 eV/atom
Calculated volume   93 Å³ per cell
SG   P6_3/mmc, No. 194
Uncorrected energy   -10.25 eV per atom

extended XYZ file:
```
2
Lattice="-3.352 -0.520 -2.214 -0.125 -0.518 4.016 -1.482 6.297 0.766" Properties=species:S:1:pos:R:3 pbc="T T T"
Eu -1.571 1.056 2.130
Eu -3.388 4.203 0.437
```

***

(10)
## Eu (GGA-PBE)

Data for a relaxed structure of Eu.

Mass density   5.781 g/cm3
Energy relative to the lowest polymorph listed for this composition   4 meV per atom
Formation enthalpy at 0 K   0.0045 eV/atom
Calculated volume   175 Å³ per cell
SG   P6_3/mmc, No. 194
Uncorrected energy   -10.25 eV per atom

extended XYZ file:
```
4
Lattice="1.980 -3.429 0.000 1.980 3.429 0.000 0.000 0.000 12.861" Properties=species:S:1:pos:R:3 pbc="T T T"
Eu 0.000 0.000 0.000
Eu 1.980 1.143 3.215
Eu 0.000 0.000 6.430
Eu 1.980 -1.143 9.646
```

***

(11)
## Eu (GGA-PBE)

Data for a relaxed structure of Eu.

Mass density   6.013 g/cm3
Energy relative to the lowest polymorph listed for this composition   0 meV per atom
Formation enthalpy at 0 K   0.0000 eV/atom
Calculated volume   42 Å³ per cell
SG   Fm-3m, No. 225
Uncorrected energy   -10.26 eV per atom

extended XYZ file:
```
1
Lattice="0.000 2.758 2.758 2.758 0.000 2.758 2.758 2.758 0.000" Properties=species:S:1:pos:R:3 pbc="T T T"
Eu 0.000 0.000 0.000
```

***

(12)
## Eu (GGA-PBE)

Data for a relaxed structure of Eu.

Mass density   5.055 g/cm3
Energy relative to the lowest polymorph listed for this composition   48 meV per atom
Formation enthalpy at 0 K   0.0483 eV/atom
Calculated volume   50 Å³ per cell
SG   Im-3m, No. 229
Uncorrected energy   -10.21 eV per atom

extended XYZ file:
```
1
Lattice="2.320 2.320 2.320 2.320 -2.320 -2.320 -2.320 2.320 -2.320" Properties=species:S:1:pos:R:3 pbc="T T T"
Eu 0.000 0.000 0.000
```

***

(13)
## Eu (GGA-PBE)

Data for a relaxed structure of Eu.

Mass density   6.087 g/cm3
Energy relative to the lowest polymorph listed for this composition   16 meV per atom
Formation enthalpy at 0 K   0.0156 eV/atom
Calculated volume   83 Å³ per cell
SG   Cmcm, No. 63
Uncorrected energy   -10.24 eV per atom

extended XYZ file:
```
2
Lattice="-3.348 1.252 1.515 3.176 -0.372 2.201 1.650 6.054 -1.356" Properties=species:S:1:pos:R:3 pbc="T T T"
Eu -1.129 5.548 0.601
Eu 2.607 1.385 1.759
```

***

(14)
## EuF2 (GGA-PBE)

Data for a relaxed structure of EuF2.

Mass density   6.208 g/cm3
Formation enthalpy at 0 K   -4.0818 eV/atom
Calculated volume   51 Å³ per cell
SG   Fm-3m, No. 225
Uncorrected energy   -8.47 eV per atom
MP2020-corrected energy   -26.33 eV per formula unit

extended XYZ file:
```
3
Lattice="-2.643 -1.892 -2.592 -3.887 1.418 -0.405 -1.170 1.884 -3.517" Properties=species:S:1:pos:R:3 pbc="T T T"
Eu 0.000 0.000 0.000
F -5.775 1.057 -4.885
F -1.925 0.352 -1.628
```

***

(15)
## EuHfF7 (GGA-PBE)

Data for a relaxed structure of EuHfF7.

Mass density   5.210 g/cm3
Formation enthalpy at 0 K   -4.0285 eV/atom
Calculated volume   295 Å³ per cell
SG   P2_1, No. 4
Uncorrected energy   -7.40 eV per atom
MP2020-corrected energy   -69.87 eV per formula unit

extended XYZ file:
```
18
Lattice="0.000 -5.793 0.000 -6.051 0.000 1.326 -0.110 0.000 -8.403" Properties=species:S:1:pos:R:3 pbc="T T T"
Eu -4.051 -4.050 -4.897
Eu -2.110 -1.154 -2.181
Hf -4.940 -4.106 -0.802
Hf -1.221 -1.210 -6.275
F -2.775 -5.125 -3.400
F -3.386 -2.228 -3.677
F -5.703 -2.438 -5.216
F -0.459 -5.334 -1.861
F -5.951 -5.493 -5.112
F -0.211 -2.597 -1.965
F -2.804 -0.006 -6.009
F -3.357 -2.902 -1.069
F -4.696 -4.085 -7.238
F -1.466 -1.189 0.161
F -5.236 -4.129 -2.793
F -0.926 -1.232 -4.285
F -2.356 -2.872 -6.078
F -3.806 -5.768 -0.999
```

***

(16)
## K5Eu2Si4O13F (GGA-PBE)

Data for a relaxed structure of K5Eu2Si4O13F.

Mass density   3.421 g/cm3
Formation enthalpy at 0 K   -3.0406 eV/atom
Calculated volume   814 Å³ per cell
SG   P2_1/m, No. 11
Uncorrected energy   -7.23 eV per atom
MP2020-corrected energy   -190.02 eV per formula unit

extended XYZ file:
```
50
Lattice="-3.838 -3.969 -2.215 3.613 -5.403 3.421 -10.584 1.724 15.252" Properties=species:S:1:pos:R:3 pbc="T T T"
K -7.145 -2.295 12.498
K -3.664 -5.353 3.959
K -8.637 -5.850 13.465
K -2.173 -1.798 2.992
K -10.778 -0.333 15.278
K -3.681 -4.117 9.761
K -7.129 -3.531 6.697
K -9.728 -2.520 9.389
K -0.032 -7.315 1.180
K -1.082 -5.128 7.069
Eu -7.358 -5.141 9.979
Eu 0.276 -4.400 3.410
Eu -11.086 -3.248 13.047
Eu -3.451 -2.507 6.478
Si -2.574 -4.618 0.751
Si -6.037 -1.541 9.229
Si -4.722 -4.811 12.808
Si -6.088 -2.837 3.649
Si -1.243 -7.866 4.264
Si -9.567 0.218 12.193
Si -4.772 -6.107 7.229
Si -8.236 -3.030 15.706
O -5.610 -6.603 5.907
O -7.060 -0.280 8.742
O -6.959 -2.864 9.535
O -5.783 -5.837 8.497
O -8.672 0.714 13.446
O -6.509 -4.401 3.524
O -8.638 -3.490 17.228
O -10.446 -1.120 12.422
O -2.283 -7.576 5.547
O -2.137 -8.362 3.012
O -5.026 -1.811 7.960
O -8.527 -0.072 10.910
O -0.363 -6.528 4.035
O -4.301 -3.247 12.933
O -4.751 -2.584 4.538
O -9.433 -3.336 14.640
O -6.058 -5.064 11.919
O -3.850 -4.783 6.922
O -2.172 -4.157 -0.770
O -6.940 -3.950 15.109
O -7.661 -1.503 15.663
O -5.200 -1.045 10.551
O -3.869 -3.698 1.348
O -1.376 -4.312 1.818
O -3.149 -6.145 0.795
O -3.750 -7.368 7.715
F -9.235 -4.160 11.473
F -1.575 -3.488 4.984
```

***

(17)
## LiEuF2 (GGA-PBE)

Data for a relaxed structure of LiEuF2.

Mass density   4.705 g/cm3
Energy relative to the lowest polymorph listed for this composition   40 meV per atom
Formation enthalpy at 0 K   -2.7369 eV/atom
Calculated volume   278 Å³ per cell
SG   I4_1/amd, No. 141
Uncorrected energy   -6.50 eV per atom
MP2020-corrected energy   -26.94 eV per formula unit

extended XYZ file:
```
16
Lattice="-3.263 3.263 6.528 3.263 -3.263 6.528 3.263 3.263 -6.528" Properties=species:S:1:pos:R:3 pbc="T T T"
Li 0.000 1.631 1.632
Li 0.000 4.894 1.632
Li -1.631 3.263 4.896
Li 1.631 3.263 4.896
Eu 0.000 1.631 8.160
Eu 3.263 1.631 1.632
Eu 1.631 0.000 4.896
Eu 1.631 3.263 -1.632
F 1.482 0.000 2.396
F 5.043 0.000 2.396
F 3.263 1.482 -0.869
F 1.780 0.000 7.397
F 0.000 1.780 5.660
F 1.482 3.263 0.869
F 3.263 1.780 4.133
F 3.263 -1.780 4.133
```

***

(18)
## LiEuF2 (GGA-PBE)

Data for a relaxed structure of LiEuF2.

Mass density   4.739 g/cm3
Energy relative to the lowest polymorph listed for this composition   0 meV per atom
Formation enthalpy at 0 K   -2.7768 eV/atom
Calculated volume   276 Å³ per cell
SG   I4_1/amd, No. 141
Uncorrected energy   -6.54 eV per atom
MP2020-corrected energy   -27.10 eV per formula unit

extended XYZ file:
```
16
Lattice="-3.498 3.498 5.639 3.498 -3.498 5.639 3.498 3.498 -5.639" Properties=species:S:1:pos:R:3 pbc="T T T"
Li 0.000 1.749 7.049
Li 3.498 1.749 1.410
Li 1.749 0.000 4.229
Li 1.749 3.498 -1.410
Eu 0.000 1.749 1.410
Eu 0.000 5.247 1.410
Eu -1.749 3.498 4.229
Eu 1.749 3.498 4.229
F 1.471 0.000 2.391
F 2.027 3.498 -3.248
F 3.498 1.471 -0.429
F 2.027 0.000 6.067
F 0.000 2.027 5.210
F 1.471 3.498 0.429
F 3.498 2.027 3.248
F 0.000 1.471 8.887
```

***

(19)
## EuMgF4 (GGA-PBE)

Data for a relaxed structure of EuMgF4.

Mass density   4.890 g/cm3
Formation enthalpy at 0 K   -3.8958 eV/atom
Calculated volume   171 Å³ per cell
SG   Cmcm, No. 63
Uncorrected energy   -6.84 eV per atom
MP2020-corrected energy   -42.89 eV per formula unit

extended XYZ file:
```
12
Lattice="2.042 -7.479 0.000 2.042 7.479 0.000 0.000 0.000 5.608" Properties=species:S:1:pos:R:3 pbc="T T T"
Eu 2.042 -2.498 4.206
Eu 2.042 2.498 1.402
Mg 2.042 6.154 1.402
Mg 2.042 -6.154 4.206
F 0.000 0.000 0.000
F 0.000 0.000 2.804
F 2.042 4.682 2.785
F 2.042 -4.682 2.823
F 2.042 1.507 4.206
F 2.042 -1.507 1.402
F 2.042 4.682 0.019
F 2.042 -4.682 5.589
```

***

(20)
## NaEuF4 (GGA-PBE)

Data for a relaxed structure of NaEuF4.

Mass density   5.009 g/cm3
Formation enthalpy at 0 K   -3.5374 eV/atom
Calculated volume   250 Å³ per cell
SG   P1, No. 1
Uncorrected energy   -6.44 eV per atom
MP2020-corrected energy   -40.46 eV per formula unit

extended XYZ file:
```
18
Lattice="-6.239 -0.003 -0.011 -3.108 5.357 3.702 3.117 5.384 -3.736" Properties=species:S:1:pos:R:3 pbc="T T T"
Na -6.228 7.158 1.804
Na -6.205 3.649 2.496
Na -0.034 3.522 -1.213
Eu -3.121 5.375 -3.734
Eu -3.117 5.374 0.011
Eu -0.001 7.155 -1.913
F -2.159 4.029 1.856
F -2.301 4.108 -1.857
F -4.653 5.266 1.846
F 1.502 5.223 -1.874
F -2.401 6.857 -1.886
F -2.463 6.753 1.869
F -4.524 7.276 -0.209
F -1.420 1.889 0.128
F -3.874 0.244 0.109
F -0.748 5.640 -0.182
F -0.925 8.568 -0.208
F -4.050 3.194 0.097
```